(1)
VASP calculation (GGA-PBE) on BeB2H8 after structural relaxation.

Properties
theoretical density	0.60	Mg/m³
energy relative to the elements	-24	kJ/mol of atoms

Geometry as CIF:
```
data_BeB2H8
_symmetry_space_group_name_H-M 'I 41 c d'
_symmetry_Int_Tables_number 110
_symmetry_space_group_name_Hall 'I 4bw -2c'
_cell_length_a 13.692
_cell_length_b 13.692
_cell_length_c 9.103
_cell_angle_alpha 90.00
_cell_angle_beta 90.00
_cell_angle_gamma 90.00
loop_
_atom_site_label
_atom_site_fract_x
_atom_site_fract_y
_atom_site_fract_z
Be1 0.090 0.201 0.000
B1 0.045 0.165 0.492
B2 0.140 0.306 0.129
H1 0.001 0.211 0.895
H2 0.015 0.141 0.092
H3 0.074 0.090 0.437
H4 0.090 0.323 0.020
H5 0.097 0.344 0.233
H6 0.104 0.220 0.545
H7 0.151 0.220 0.159
H8 0.161 0.222 0.853
```


(2)
VASP calculation (GGA-PBE) on DyAgPb after structural relaxation.

Properties
theoretical density	9.85	Mg/m³
total magnetic moment	0.000	μB per atom
energy relative to the elements	-18	kJ/mol of atoms

Geometry as CIF:
```
data_DyAgPb
_symmetry_space_group_name_H-M 'P -3 m 1'
_symmetry_Int_Tables_number 164
_symmetry_space_group_name_Hall '-P 3 2"'
_cell_length_a 4.8871
_cell_length_b 4.8871
_cell_length_c 7.7802
_cell_angle_alpha 90.00
_cell_angle_beta 90.00
_cell_angle_gamma 120.00
loop_
_atom_site_label
_atom_site_fract_x
_atom_site_fract_y
_atom_site_fract_z
Dy1 0.0000 0.0000 0.2117
Ag1 0.3333 0.6667 0.0055
Pb1 0.3333 0.6667 0.4146
```


(3)
VASP calculation (GGA-PBE) on PaHgO3 after structural relaxation.

Properties
theoretical density	9.51	Mg/m³
energy relative to the elements	-271	kJ/mol of atoms

Geometry as CIF:
```
data_PaHgO3
_symmetry_space_group_name_H-M 'P m -3 m'
_symmetry_Int_Tables_number 221
_symmetry_space_group_name_Hall '-P 4 2 3'
_cell_length_a 4.375
_cell_length_b 4.375
_cell_length_c 4.375
_cell_angle_alpha 90.00
_cell_angle_beta 90.00
_cell_angle_gamma 90.00
loop_
_atom_site_label
_atom_site_fract_x
_atom_site_fract_y
_atom_site_fract_z
Pa1 0.000 0.000 0.000
Hg1 0.500 0.500 0.500
O1 0.000 0.000 0.500
```


(4)
VASP calculation (GGA-PBE) on Ge3N4 after structural relaxation.

Properties
theoretical density	5.60	Mg/m³
largest piezoelectric modulus	0.3	C/m²
relative energy among the computed polymorphs	63.5	meV/atom
total magnetic moment	0.000	μB per atom
energy relative to the elements	-18	kJ/mol of atoms

Geometry as CIF:
```
data_Ge3N4
_symmetry_space_group_name_H-M 'I -4 3 d'
_symmetry_Int_Tables_number 220
_symmetry_space_group_name_Hall 'I -4bd 2c 3'
_cell_length_a 6.873
_cell_length_b 6.873
_cell_length_c 6.873
_cell_angle_alpha 90.00
_cell_angle_beta 90.00
_cell_angle_gamma 90.00
loop_
_atom_site_label
_atom_site_fract_x
_atom_site_fract_y
_atom_site_fract_z
Ge1 0.000 0.250 0.875
N1 0.027 0.027 0.027
```


(5)
VASP calculation (GGA-PBE) on RbAl after structural relaxation.

Properties
theoretical density	2.32	Mg/m³
total magnetic moment	0.004	μB per atom
energy relative to the elements	64	kJ/mol of atoms

Geometry as CIF:
```
data_RbAl
_symmetry_space_group_name_H-M 'P m -3 m'
_symmetry_Int_Tables_number 221
_symmetry_space_group_name_Hall '-P 4 2 3'
_cell_length_a 4.316
_cell_length_b 4.316
_cell_length_c 4.316
_cell_angle_alpha 90.00
_cell_angle_beta 90.00
_cell_angle_gamma 90.00
loop_
_atom_site_label
_atom_site_fract_x
_atom_site_fract_y
_atom_site_fract_z
Rb1 0.000 0.000 0.000
Al1 0.500 0.500 0.500
```


(6)
VASP calculation (GGA-PBE) on SnBi after structural relaxation.

Properties
theoretical density	8.99	Mg/m³
energy relative to the elements	6	kJ/mol of atoms

Geometry as CIF:
```
data_SnBi
_symmetry_space_group_name_H-M 'C m c e'
_symmetry_Int_Tables_number 64
_symmetry_space_group_name_Hall '-C 2ac 2'
_cell_length_a 11.226
_cell_length_b 6.606
_cell_length_c 6.527
_cell_angle_alpha 90.00
_cell_angle_beta 90.00
_cell_angle_gamma 90.00
loop_
_atom_site_label
_atom_site_fract_x
_atom_site_fract_y
_atom_site_fract_z
Sn1 0.000 0.159 0.177
Bi1 0.209 0.000 0.500
```